Entry 1:
Compound: HoNiAs
Source: the Materials Project database
Functional: meta-GGA r2SCAN
Structure: optimized geometry

Lattice parameters (Å, degrees): 3.9939 3.9939 3.8922 90.00 90.00 120.00
Space group P-6m2 (No. 187)
One atom of each set of equivalent atoms:
Ho: 0.0000 0.0000 0.0000
Ni: 0.6667 0.3333 0.5000
As: 0.3333 0.6667 0.5000

Summary:
- formation enthalpy at 0 K (eV per formula unit) = -3.472
- mass density (g/cm³) = 9.22
- volume (Å³/cell) = 53.77

***

Entry 2:
Compound: Ho2NiAs2
Source: the Materials Project database
Functional: meta-GGA r2SCAN
Structure: optimized geometry

Lattice parameters (Å, degrees): 4.0649 4.0649 14.1348 90.00 90.00 120.00
Space group P6_3/mmc (No. 194)
One atom of each set of equivalent atoms:
Ho: 0.3333 0.6667 0.1176
Ni: 0.0000 0.0000 0.2500
As: 0.0000 0.0000 0.0000
As: 0.3333 0.6667 0.7500

Summary:
- formation enthalpy at 0 K (eV per formula unit) = -7.037
- mass density (g/cm³) = 8.84
- volume (Å³/cell) = 202.26

***

Entry 3:
Compound: HoNi4As2
Source: the Materials Project database
Functional: meta-GGA r2SCAN
Structure: optimized geometry

Lattice parameters (Å, degrees): 7.1756 7.1756 3.7393 90.00 90.00 90.00
Space group P4_2/mnm (No. 136)
One atom of each set of equivalent atoms:
Ho: 0.0000 0.0000 0.0000
Ni: 0.0889 0.3468 0.5000
As: 0.2179 0.7821 0.5000

Summary:
- formation enthalpy at 0 K (eV per formula unit) = -4.540
- mass density (g/cm³) = 9.48
- volume (Å³/cell) = 192.54

***

Entry 4:
Compound: Ho2As7Rh12
Source: the Materials Project database
Functional: meta-GGA r2SCAN
Structure: optimized geometry

Lattice parameters (Å, degrees): 9.8862 9.8862 3.8973 90.00 90.00 120.00
Space group P-3 (No. 147)
One atom of each set of equivalent atoms:
Ho: 0.3333 0.6667 0.2480
As: 0.0000 0.0000 0.5000
As: 0.1182 0.7123 0.7508
Rh: 0.0673 0.4487 0.7492
Rh: 0.1142 0.2638 0.2457

Summary:
- formation enthalpy at 0 K (eV per formula unit) = -15.954
- mass density (g/cm³) = 10.52
- volume (Å³/cell) = 329.88

***

Entry 5:
Compound: La2AsI2
Source: the Materials Project database
Functional: meta-GGA r2SCAN
Structure: optimized geometry

Lattice parameters (Å, degrees): 4.4176 4.4176 11.1920 90.00 90.00 120.00
Space group P-3m1 (No. 164)
One atom of each set of equivalent atoms:
La: 0.3333 0.6667 0.1481
As: 0.0000 0.0000 0.0000
I: 0.3333 0.6667 0.6648

Summary:
- formation enthalpy at 0 K (eV per formula unit) = -9.151
- mass density (g/cm³) = 5.32
- volume (Å³/cell) = 189.15

***

Entry 6:
Compound: La3AsI3
Source: the Materials Project database
Functional: meta-GGA r2SCAN
Structure: optimized geometry

Lattice parameters (Å, degrees): 12.6600 12.6600 12.6600 90.00 90.00 90.00
Space group I4_132 (No. 214)
One atom of each set of equivalent atoms:
La: 0.1094 0.1406 0.6250
As: 0.1250 0.3750 0.6250
I: 0.1152 0.3652 0.1250

Summary:
- formation enthalpy at 0 K (eV per formula unit) = -11.828
- mass density (g/cm³) = 5.71
- volume (Å³/cell) = 2029.11

***

Entry 7:
Compound: AsS24I3
Source: the Materials Project database
Functional: meta-GGA r2SCAN
Structure: optimized geometry

Lattice parameters (Å, degrees): 25.0172 25.0172 4.6249 90.00 90.00 120.00
Space group R3m (No. 160, hexagonal axes)
One atom of each set of equivalent atoms:
As: 0.0000 0.0000 0.0000
S: 0.0344 0.4509 0.9598
S: 0.0682 0.5341 0.1667
S: 0.0919 0.3730 0.5212
S: 0.1596 0.4526 0.3337
S: 0.1852 0.0926 0.8872
I: 0.0531 0.1063 0.2557

Summary:
- formation enthalpy at 0 K (eV per formula unit) = -0.867
- mass density (g/cm³) = 2.43
- volume (Å³/cell) = 2506.75

***

Entry 8:
Compound: InAs
Source: the Materials Project database
Functional: meta-GGA r2SCAN
Structure: optimized geometry

Lattice parameters (Å, degrees): 6.1071 6.1071 6.1071 90.00 90.00 90.00
Space group F-43m (No. 216)
One atom of each set of equivalent atoms:
In: 0.0000 0.0000 0.0000
As: 0.2500 0.2500 0.2500

Summary:
- formation enthalpy at 0 K (eV per formula unit) = -0.777
- mass density (g/cm³) = 5.53
- volume (Å³/cell) = 227.78

***

Entry 9:
Compound: InAs
Source: the Materials Project database
Functional: meta-GGA r2SCAN
Structure: optimized geometry

Lattice parameters (Å, degrees): 4.3114 4.3114 7.0888 90.00 90.00 120.00
Space group P6_3mc (No. 186)
One atom of each set of equivalent atoms:
In: 0.3333 0.6667 0.0000
As: 0.3333 0.6667 0.3743

Summary:
- formation enthalpy at 0 K (eV per formula unit) = -0.762
- mass density (g/cm³) = 5.52
- volume (Å³/cell) = 114.12

***

Entry 10:
Compound: K2In2As3
Source: the Materials Project database
Functional: meta-GGA r2SCAN
Structure: optimized geometry

Lattice parameters (Å, degrees): 14.4856 7.1867 15.9305 90.00 90.21 90.00
Space group P2_1/c (No. 14)
One atom of each set of equivalent atoms:
K: 0.0627 0.0826 0.0922
K: 0.1561 0.5661 0.0222
K: 0.3566 0.0414 0.0072
K: 0.4168 0.5462 0.1075
In: 0.0898 0.7492 0.2581
In: 0.1824 0.2299 0.3320
In: 0.3156 0.7465 0.3239
In: 0.4085 0.2150 0.2700
As: 0.0221 0.0455 0.3418
As: 0.1659 0.5703 0.3911
As: 0.2464 0.6443 0.6725
As: 0.2525 0.2022 0.1775
As: 0.3365 0.0597 0.4086
As: 0.4697 0.5427 0.3283

Summary:
- formation enthalpy at 0 K (eV per formula unit) = -4.049
- mass density (g/cm³) = 4.27
- volume (Å³/cell) = 1658.41

***

Entry 11:
Compound: Na3In2As3O12
Source: the Materials Project database
Functional: meta-GGA r2SCAN
Structure: optimized geometry

Lattice parameters (Å, degrees): 12.5642 13.2345 6.8682 90.00 113.79 90.00
Space group C2/c (No. 15)
One atom of each set of equivalent atoms:
Na: 0.0000 0.0000 0.0000
Na: 0.0000 0.2216 0.2500
Na: 0.0000 0.4851 0.2500
In: 0.2205 0.3440 0.1435
As: 0.0000 0.2207 0.7500
As: 0.2372 0.3958 0.6318
O: 0.0455 0.2946 0.9705
O: 0.0984 0.1380 0.7281
O: 0.1245 0.0800 0.3181
O: 0.1561 0.4974 0.1138
O: 0.1642 0.3340 0.3977
O: 0.2283 0.3210 0.8300

Summary:
- formation enthalpy at 0 K (eV per formula unit) = -35.456
- mass density (g/cm³) = 4.55
- volume (Å³/cell) = 1045.02

***

Entry 12:
Compound: In2AsP
Source: the Materials Project database
Functional: meta-GGA r2SCAN
Structure: optimized geometry

Lattice parameters (Å, degrees): 4.2501 4.2501 5.9964 90.00 90.00 90.00
Space group P-4m2 (No. 115)
One atom of each set of equivalent atoms:
In: 0.0000 0.5000 0.2420
As: 0.0000 0.0000 0.5000
P: 0.5000 0.5000 0.0000

Summary:
- formation enthalpy at 0 K (eV per formula unit) = -1.471
- mass density (g/cm³) = 5.14
- volume (Å³/cell) = 108.32

***

Entry 13:
Compound: In2AsP
Source: the Materials Project database
Functional: meta-GGA r2SCAN
Structure: optimized geometry

Lattice parameters (Å, degrees): 4.2465 4.2465 20.8226 90.00 90.00 120.00
Space group R3m (No. 160, hexagonal axes)
One atom of each set of equivalent atoms:
In: 0.0000 0.0000 0.0000
In: 0.0000 0.0000 0.4954
As: 0.0000 0.0000 0.6223
P: 0.0000 0.0000 0.1228

Summary:
- formation enthalpy at 0 K (eV per formula unit) = -1.469
- mass density (g/cm³) = 5.14
- volume (Å³/cell) = 325.18

***

Entry 14:
Compound: InAsPd5
Source: the Materials Project database
Functional: meta-GGA r2SCAN
Structure: optimized geometry

Lattice parameters (Å, degrees): 4.0165 4.0165 7.0343 90.00 90.00 90.00
Space group P4/mmm (No. 123)
One atom of each set of equivalent atoms:
In: 0.0000 0.0000 0.0000
As: 0.5000 0.5000 0.5000
Pd: 0.0000 0.5000 0.2887
Pd: 0.5000 0.5000 0.0000

Summary:
- formation enthalpy at 0 K (eV per formula unit) = -3.662
- mass density (g/cm³) = 10.56
- volume (Å³/cell) = 113.48

***

Entry 15:
Compound: InAsPt5
Source: the Materials Project database
Functional: meta-GGA r2SCAN
Structure: optimized geometry

Lattice parameters (Å, degrees): 4.0279 4.0279 7.1006 90.00 90.00 90.00
Space group P4/mmm (No. 123)
One atom of each set of equivalent atoms:
In: 0.0000 0.0000 0.0000
As: 0.5000 0.5000 0.5000
Pt: 0.0000 0.5000 0.2858
Pt: 0.5000 0.5000 0.0000

Summary:
- formation enthalpy at 0 K (eV per formula unit) = -2.878
- mass density (g/cm³) = 16.80
- volume (Å³/cell) = 115.20

***

Entry 16:
Compound: In2AsPt8
Source: the Materials Project database
Functional: meta-GGA r2SCAN
Structure: optimized geometry

Lattice parameters (Å, degrees): 4.0099 4.0099 11.2085 90.00 90.00 90.00
Space group P4/mmm (No. 123)
One atom of each set of equivalent atoms:
In: 0.0000 0.0000 0.1803
As: 0.5000 0.5000 0.5000
Pt: 0.0000 0.5000 0.0000
Pt: 0.0000 0.5000 0.3625
Pt: 0.5000 0.5000 0.1796

Summary:
- formation enthalpy at 0 K (eV per formula unit) = -4.655
- mass density (g/cm³) = 17.19
- volume (Å³/cell) = 180.22

***

Entry 17:
Compound: SrIn2As2
Source: the Materials Project database
Functional: meta-GGA r2SCAN
Structure: optimized geometry

Lattice parameters (Å, degrees): 4.2594 4.2594 18.2053 90.00 90.00 120.00
Space group P6_3/mmc (No. 194)
One atom of each set of equivalent atoms:
Sr: 0.0000 0.0000 0.0000
In: 0.3333 0.6667 0.1731
As: 0.3333 0.6667 0.6088

Summary:
- formation enthalpy at 0 K (eV per formula unit) = -3.967
- mass density (g/cm³) = 5.42
- volume (Å³/cell) = 286.04

***

Entry 18:
Compound: As3Ir
Source: the Materials Project database
Functional: meta-GGA r2SCAN
Structure: optimized geometry

Lattice parameters (Å, degrees): 8.5186 8.5186 8.5186 90.00 90.00 90.00
Space group Im-3 (No. 204)
One atom of each set of equivalent atoms:
As: 0.0000 0.3479 0.1451
Ir: 0.2500 0.2500 0.2500

Summary:
- formation enthalpy at 0 K (eV per formula unit) = -2.033
- mass density (g/cm³) = 8.96
- volume (Å³/cell) = 618.17